No. 1
A plane-wave DFT calculation with PBE with a Hubbard U was carried out for a geometry-optimized K2V2CoO7 structure.

Energy relative to the elements = -2270 meV per atom
Crystal system = tetragonal
Energy with MP2020 corrections = -0.274 Ha/atom

Structure (CIF):
```
data_K2V2CoO7
_chemical_formula_sum 'K4 V4 Co2 O14'
_symmetry_space_group_name_H-M 'P 1'
_symmetry_Int_Tables_number 1
_cell_length_a 8.586
_cell_length_b 8.586
_cell_length_c 5.713
_cell_angle_alpha 90.00
_cell_angle_beta 90.00
_cell_angle_gamma 90.00
loop_
_symmetry_equiv_pos_as_xyz
'x,y,z'
loop_
_atom_site_label
_atom_site_type_symbol
_atom_site_fract_x
_atom_site_fract_y
_atom_site_fract_z
K1 K 0.162 0.338 0.491
K2 K 0.338 0.838 0.509
K3 K 0.662 0.162 0.509
K4 K 0.838 0.662 0.491
V1 V 0.142 0.642 0.950
V2 V 0.358 0.142 0.050
V3 V 0.642 0.858 0.050
V4 V 0.858 0.358 0.950
Co1 Co 0.000 0.000 0.000
Co2 Co 0.500 0.500 0.000
O1 O 0.000 0.500 0.843
O2 O 0.089 0.822 0.831
O3 O 0.145 0.645 0.244
O4 O 0.178 0.089 0.169
O5 O 0.322 0.589 0.831
O6 O 0.355 0.145 0.756
O7 O 0.411 0.322 0.169
O8 O 0.500 0.000 0.157
O9 O 0.589 0.678 0.169
O10 O 0.645 0.855 0.756
O11 O 0.678 0.411 0.831
O12 O 0.822 0.911 0.169
O13 O 0.855 0.355 0.244
O14 O 0.911 0.178 0.831
```

---

No. 2
A plane-wave DFT calculation with PBE with a Hubbard U was carried out for a geometry-optimized SrLi3La11Co3O24 structure.

Energy relative to the elements = -3163 meV per atom
Crystal system = monoclinic
Energy with MP2020 corrections = -0.293 Ha/atom

Structure (CIF):
```
data_SrLi3La11Co3O24
_chemical_formula_sum 'Sr2 Li6 La22 Co6 O48'
_symmetry_space_group_name_H-M 'P 1'
_symmetry_Int_Tables_number 1
_cell_length_a 7.562
_cell_length_b 7.562
_cell_length_c 19.583
_cell_angle_alpha 95.58
_cell_angle_beta 95.58
_cell_angle_gamma 90.09
loop_
_symmetry_equiv_pos_as_xyz
'x,y,z'
loop_
_atom_site_label
_atom_site_type_symbol
_atom_site_fract_x
_atom_site_fract_y
_atom_site_fract_z
Sr1 Sr 0.189 0.189 0.259
Sr2 Sr 0.811 0.811 0.741
Li1 Li 0.082 0.584 0.831
Li2 Li 0.250 0.750 0.500
Li3 Li 0.416 0.918 0.169
Li4 Li 0.584 0.082 0.831
Li5 Li 0.750 0.250 0.500
Li6 Li 0.918 0.416 0.169
La1 La 0.022 0.022 0.591
La2 La 0.024 0.524 0.593
La3 La 0.141 0.645 0.074
La4 La 0.143 0.143 0.078
La5 La 0.188 0.693 0.258
La6 La 0.307 0.812 0.742
La7 La 0.308 0.308 0.740
La8 La 0.354 0.354 0.924
La9 La 0.355 0.859 0.926
La10 La 0.474 0.474 0.409
La11 La 0.476 0.976 0.407
La12 La 0.524 0.024 0.593
La13 La 0.526 0.526 0.591
La14 La 0.645 0.141 0.074
La15 La 0.646 0.646 0.076
La16 La 0.692 0.692 0.260
La17 La 0.693 0.188 0.258
La18 La 0.812 0.307 0.742
La19 La 0.857 0.857 0.922
La20 La 0.859 0.355 0.926
La21 La 0.976 0.476 0.407
La22 La 0.978 0.978 0.409
Co1 Co 0.084 0.084 0.834
Co2 Co 0.250 0.250 0.501
Co3 Co 0.417 0.417 0.166
Co4 Co 0.583 0.583 0.834
Co5 Co 0.750 0.750 0.499
Co6 Co 0.916 0.916 0.166
O1 O 0.005 0.250 0.501
O2 O 0.060 0.060 0.713
O3 O 0.063 0.544 0.712
O4 O 0.086 0.329 0.835
O5 O 0.087 0.839 0.836
O6 O 0.116 0.609 0.954
O7 O 0.117 0.117 0.955
O8 O 0.161 0.913 0.164
O9 O 0.174 0.419 0.165
O10 O 0.223 0.718 0.379
O11 O 0.225 0.225 0.385
O12 O 0.250 0.005 0.501
O13 O 0.254 0.496 0.501
O14 O 0.281 0.281 0.619
O15 O 0.282 0.777 0.621
O16 O 0.329 0.086 0.835
O17 O 0.340 0.581 0.834
O18 O 0.391 0.884 0.046
O19 O 0.392 0.392 0.058
O20 O 0.419 0.174 0.165
O21 O 0.419 0.660 0.166
O22 O 0.447 0.447 0.274
O23 O 0.456 0.937 0.288
O24 O 0.496 0.254 0.501
O25 O 0.504 0.746 0.499
O26 O 0.544 0.063 0.712
O27 O 0.553 0.553 0.726
O28 O 0.581 0.340 0.834
O29 O 0.581 0.826 0.835
O30 O 0.608 0.608 0.942
O31 O 0.609 0.116 0.954
O32 O 0.660 0.419 0.166
O33 O 0.671 0.914 0.165
O34 O 0.718 0.223 0.379
O35 O 0.719 0.719 0.381
O36 O 0.746 0.504 0.499
O37 O 0.750 0.995 0.499
O38 O 0.775 0.775 0.615
O39 O 0.777 0.282 0.621
O40 O 0.826 0.581 0.835
O41 O 0.839 0.087 0.836
O42 O 0.883 0.883 0.045
O43 O 0.884 0.391 0.046
O44 O 0.913 0.161 0.164
O45 O 0.914 0.671 0.165
O46 O 0.937 0.456 0.288
O47 O 0.940 0.940 0.287
O48 O 0.995 0.750 0.499
```

---

No. 3
A plane-wave DFT calculation with PBE with a Hubbard U was carried out for a geometry-optimized SrLi4La15Co4O32 structure.

Energy relative to the elements = -3188 meV per atom
Crystal system = monoclinic
Energy with MP2020 corrections = -0.294 Ha/atom

Structure (CIF):
```
data_SrLi4La15Co4O32
_chemical_formula_sum 'Sr1 Li4 La15 Co4 O32'
_symmetry_space_group_name_H-M 'P 1'
_symmetry_Int_Tables_number 1
_cell_length_a 8.800
_cell_length_b 8.800
_cell_length_c 10.692
_cell_angle_alpha 107.69
_cell_angle_beta 107.69
_cell_angle_gamma 94.35
loop_
_symmetry_equiv_pos_as_xyz
'x,y,z'
loop_
_atom_site_label
_atom_site_type_symbol
_atom_site_fract_x
_atom_site_fract_y
_atom_site_fract_z
Sr1 Sr 0.000 0.000 0.000
Li1 Li 0.111 0.387 0.125
Li2 Li 0.111 0.389 0.624
Li3 Li 0.611 0.889 0.376
Li4 Li 0.613 0.889 0.875
La1 La 0.222 0.777 0.747
La2 La 0.223 0.778 0.253
La3 La 0.244 0.249 0.875
La4 La 0.246 0.250 0.373
La5 La 0.472 0.029 0.625
La6 La 0.475 0.031 0.126
La7 La 0.498 0.502 0.252
La8 La 0.498 0.502 0.748
La9 La 0.723 0.277 0.500
La10 La 0.727 0.273 0.000
La11 La 0.750 0.754 0.627
La12 La 0.751 0.756 0.125
La13 La 0.969 0.525 0.874
La14 La 0.971 0.528 0.375
La15 La 0.998 0.002 0.500
Co1 Co 0.360 0.640 0.000
Co2 Co 0.360 0.640 0.500
Co3 Co 0.859 0.140 0.750
Co4 Co 0.860 0.141 0.250
O1 O 0.040 0.960 0.255
O2 O 0.040 0.960 0.745
O3 O 0.182 0.818 0.500
O4 O 0.205 0.795 0.000
O5 O 0.238 0.518 0.562
O6 O 0.238 0.519 0.316
O7 O 0.239 0.519 0.062
O8 O 0.240 0.518 0.818
O9 O 0.290 0.209 0.625
O10 O 0.299 0.215 0.129
O11 O 0.428 0.069 0.374
O12 O 0.429 0.074 0.876
O13 O 0.481 0.761 0.938
O14 O 0.481 0.762 0.684
O15 O 0.482 0.760 0.182
O16 O 0.482 0.762 0.438
O17 O 0.521 0.479 0.000
O18 O 0.540 0.460 0.500
O19 O 0.679 0.318 0.751
O20 O 0.682 0.321 0.249
O21 O 0.734 0.020 0.811
O22 O 0.734 0.021 0.066
O23 O 0.738 0.018 0.566
O24 O 0.738 0.019 0.312
O25 O 0.785 0.701 0.871
O26 O 0.791 0.710 0.375
O27 O 0.926 0.571 0.124
O28 O 0.931 0.572 0.626
O29 O 0.979 0.266 0.934
O30 O 0.980 0.266 0.189
O31 O 0.981 0.262 0.688
O32 O 0.982 0.262 0.434
```

---

No. 4
A plane-wave DFT calculation with PBE with a Hubbard U was carried out for a geometry-optimized SrLiLa15Co4O32 structure.

Energy relative to the elements = -3155 meV per atom
Crystal system = triclinic
Energy with MP2020 corrections = -0.299 Ha/atom

Structure (CIF):
```
data_SrLiLa15Co4O32
_chemical_formula_sum 'Sr1 Li1 La15 Co4 O32'
_symmetry_space_group_name_H-M 'P 1'
_symmetry_Int_Tables_number 1
_cell_length_a 8.769
_cell_length_b 8.774
_cell_length_c 10.641
_cell_angle_alpha 107.90
_cell_angle_beta 107.81
_cell_angle_gamma 93.90
loop_
_symmetry_equiv_pos_as_xyz
'x,y,z'
loop_
_atom_site_label
_atom_site_type_symbol
_atom_site_fract_x
_atom_site_fract_y
_atom_site_fract_z
Sr1 Sr 0.000 0.000 0.000
Li1 Li 0.114 0.391 0.127
La1 La 0.231 0.777 0.754
La2 La 0.234 0.783 0.255
La3 La 0.247 0.257 0.873
La4 La 0.249 0.256 0.381
La5 La 0.474 0.033 0.130
La6 La 0.478 0.027 0.628
La7 La 0.500 0.511 0.755
La8 La 0.503 0.512 0.255
La9 La 0.724 0.274 0.502
La10 La 0.727 0.272 0.000
La11 La 0.748 0.761 0.632
La12 La 0.752 0.754 0.127
La13 La 0.976 0.530 0.382
La14 La 0.977 0.528 0.871
La15 La 0.995 0.003 0.502
Co1 Co 0.362 0.642 0.503
Co2 Co 0.364 0.644 0.003
Co3 Co 0.862 0.143 0.752
Co4 Co 0.864 0.142 0.253
O1 O 0.024 0.981 0.748
O2 O 0.041 0.966 0.260
O3 O 0.202 0.803 0.505
O4 O 0.208 0.800 0.002
O5 O 0.241 0.522 0.319
O6 O 0.243 0.522 0.066
O7 O 0.243 0.523 0.567
O8 O 0.245 0.523 0.819
O9 O 0.300 0.203 0.626
O10 O 0.301 0.218 0.133
O11 O 0.425 0.080 0.879
O12 O 0.429 0.083 0.378
O13 O 0.481 0.762 0.686
O14 O 0.483 0.763 0.442
O15 O 0.483 0.763 0.940
O16 O 0.485 0.764 0.186
O17 O 0.524 0.482 0.505
O18 O 0.527 0.480 0.002
O19 O 0.686 0.321 0.256
O20 O 0.700 0.303 0.751
O21 O 0.740 0.026 0.815
O22 O 0.742 0.027 0.076
O23 O 0.743 0.023 0.317
O24 O 0.743 0.024 0.569
O25 O 0.789 0.693 0.873
O26 O 0.803 0.710 0.379
O27 O 0.924 0.581 0.628
O28 O 0.930 0.573 0.128
O29 O 0.978 0.259 0.432
O30 O 0.981 0.261 0.686
O31 O 0.982 0.268 0.191
O32 O 0.982 0.269 0.935
```

---

No. 5
A plane-wave DFT calculation with PBE with a Hubbard U was carried out for a geometry-optimized La4MgCoO8 structure.

Energy above the lowest structure with this stoichiometry = 0.00 eV/f.u.
Energy relative to the elements = -3297 meV per atom
Crystal system = monoclinic
Energy with MP2020 corrections = -0.300 Ha/atom

Structure (CIF):
```
data_La4MgCoO8
_chemical_formula_sum 'La4 Mg1 Co1 O8'
_symmetry_space_group_name_H-M 'P 1'
_symmetry_Int_Tables_number 1
_cell_length_a 5.538
_cell_length_b 5.537
_cell_length_c 6.903
_cell_angle_alpha 90.00
_cell_angle_beta 113.62
_cell_angle_gamma 90.00
loop_
_symmetry_equiv_pos_as_xyz
'x,y,z'
loop_
_atom_site_label
_atom_site_type_symbol
_atom_site_fract_x
_atom_site_fract_y
_atom_site_fract_z
La1 La 0.138 0.000 0.275
La2 La 0.362 0.500 0.725
La3 La 0.638 0.500 0.275
La4 La 0.862 0.000 0.725
Mg1 Mg 0.000 0.500 0.000
Co1 Co 0.500 0.000 0.000
O1 O 0.179 0.500 0.358
O2 O 0.249 0.252 0.000
O3 O 0.249 0.748 0.000
O4 O 0.319 0.000 0.636
O5 O 0.681 0.000 0.364
O6 O 0.751 0.252 0.000
O7 O 0.751 0.748 0.000
O8 O 0.821 0.500 0.642
```

---

No. 6
A plane-wave DFT calculation with PBE with a Hubbard U was carried out for a geometry-optimized LaMgCoO3 structure.

Energy above the lowest structure with this stoichiometry = 1.18 eV/f.u.
Energy relative to the elements = -1859 meV per atom
Crystal system = tetragonal
Energy with MP2020 corrections = -0.243 Ha/atom

Structure (CIF):
```
data_LaMgCoO3
_chemical_formula_sum 'La1 Mg1 Co1 O3'
_symmetry_space_group_name_H-M 'P 1'
_symmetry_Int_Tables_number 1
_cell_length_a 3.854
_cell_length_b 3.854
_cell_length_c 7.189
_cell_angle_alpha 90.00
_cell_angle_beta 90.00
_cell_angle_gamma 90.00
loop_
_symmetry_equiv_pos_as_xyz
'x,y,z'
loop_
_atom_site_label
_atom_site_type_symbol
_atom_site_fract_x
_atom_site_fract_y
_atom_site_fract_z
La1 La 0.000 0.000 0.000
Mg1 Mg 0.000 0.000 0.500
Co1 Co 0.500 0.500 0.500
O1 O 0.000 0.500 0.500
O2 O 0.500 0.000 0.500
O3 O 0.500 0.500 0.000
```